Density functional theory data (PBE) for crystalline Ba8Bi4H2O at its relaxed geometry.

Lattice parameters (Å, degrees): 19.7134 19.7134 19.7134 164.51 164.51 21.97
Sites, in units of the cell vectors:
1 Ba 0.0000 0.5000 0.5000
2 Ba 0.0842 0.0842 0.0000
3 Ba 0.2500 0.7500 0.5000
4 Ba 0.3399 0.3399 0.0000
5 Ba 0.5000 0.0000 0.5000
6 Ba 0.6601 0.6601 0.0000
7 Ba 0.7500 0.2500 0.5000
8 Ba 0.9158 0.9158 0.0000
9 Bi 0.1796 0.1796 0.0000
10 Bi 0.4325 0.4325 0.0000
11 Bi 0.5675 0.5675 0.0000
12 Bi 0.8204 0.8204 0.0000
13 H 0.2709 0.2709 0.0000
14 H 0.7291 0.7291 0.0000
15 O 0.0000 0.0000 0.0000

The volume comes out at 546 Å³ per cell. Its MP2020-corrected energy is -3.969 eV per atom. Its space group is I4/mmm. For the electronic total energy, the calculation gives -3.923 eV/atom.